Record 1
DFT (PBE) results for an optimized crystal structure of AlH3O3.

Cell: 4.9938 5.0201 5.2270 Å, 96.35 105.93 116.09°
Space group P-1 (No. 2)
Inequivalent atoms, fractional coordinates:
Al1 0.1694 0.3213 0.4946
H1 0.1117 0.6693 0.1675
H2 0.2888 0.1445 0.9117
H3 0.4931 0.1443 0.3033
O1 0.0250 0.5524 0.2885
O2 0.2264 0.0591 0.7115
O3 0.4198 0.2966 0.2863

=====

Record 2
DFT (PBE) results for an optimized crystal structure of AlH3O3.

piezoelectric modulus e_max: 4.89 C/m²

Cell: 5.1725 6.3228 6.7534 Å, 83.65 85.04 81.30°
Space group P1 (No. 1)
Inequivalent atoms, fractional coordinates:
Al1 0.0000 0.0000 0.0000
Al2 0.0146 0.6587 0.3314
Al3 0.4836 0.1616 0.8353
Al4 0.5312 0.4960 0.4958
H1 0.1630 0.5018 0.7409
H2 0.1841 0.2818 0.4752
H3 0.2379 0.9295 0.6506
H4 0.2677 0.2335 0.1751
H5 0.2681 0.6196 0.9822
H6 0.3750 0.8624 0.3456
H7 0.6421 0.7970 0.9893
H8 0.7483 0.4227 0.1567
H9 0.7653 0.0410 0.3550
H10 0.7738 0.7298 0.6784
H11 0.8256 0.3796 0.8578
H12 0.8570 0.1643 0.6024
O1 0.1649 0.7187 0.0711
O2 0.1955 0.0462 0.7412
O3 0.2496 0.3913 0.3785
O4 0.2757 0.1341 0.0710
O5 0.3013 0.7637 0.4496
O6 0.3502 0.4582 0.7569
O7 0.6714 0.1995 0.5752
O8 0.7129 0.8945 0.8828
O9 0.7379 0.5245 0.2592
O10 0.7647 0.2668 0.9534
O11 0.8183 0.6129 0.5887
O12 0.8480 0.9396 0.2602

=====

Record 3
DFT (PBE) results for an optimized crystal structure of AlH3O3.

Cell: 5.0597 6.2853 7.0381 Å, 83.38 80.89 81.41°
Space group P-1 (No. 2)
Inequivalent atoms, fractional coordinates:
Al1 0.0192 0.1651 0.3363
Al2 0.4697 0.6648 0.8342
H1 0.1197 0.5789 0.1213
H2 0.2062 0.0407 0.8733
H3 0.2192 0.7675 0.3219
H4 0.2350 0.4717 0.6219
H5 0.3600 0.0200 0.1133
H6 0.4044 0.1941 0.4990
O1 0.1782 0.8783 0.4140
O2 0.1875 0.5628 0.7314
O3 0.2459 0.9288 0.7829
O4 0.2710 0.1684 0.0945
O5 0.3006 0.3009 0.4166
O6 0.3108 0.6028 0.1014

=====

Record 4
DFT (PBE) results for an optimized crystal structure of AlH3O3.

Cell: 5.1213 8.8242 9.4765 Å, 92.22 91.92 93.11°
Space group P1 (No. 1)
Inequivalent atoms, fractional coordinates:
Al1 0.0000 0.0000 0.0000
Al2 0.0191 0.3453 0.0055
Al3 0.4306 0.3354 0.5007
Al4 0.4630 0.8452 0.0030
Al5 0.4875 0.9742 0.5106
Al6 0.5364 0.5170 0.0070
Al7 0.9553 0.4869 0.5019
Al8 0.9765 0.8194 0.5023
H1 0.0205 0.1805 0.2000
H2 0.1360 0.6799 0.7032
H3 0.1375 0.5876 0.8885
H4 0.1419 0.1190 0.4298
H5 0.1729 0.3927 0.7145
H6 0.1929 0.9244 0.7215
H7 0.1941 0.6408 0.1234
H8 0.2370 0.1730 0.8217
H9 0.2669 0.4386 0.2860
H10 0.3027 0.9811 0.2166
H11 0.3206 0.7713 0.3145
H12 0.4259 0.2730 0.1288
H13 0.5777 0.5655 0.6447
H14 0.5888 0.0981 0.9400
H15 0.6414 0.6396 0.3737
H16 0.6544 0.8113 0.7065
H17 0.6880 0.0936 0.7404
H18 0.6968 0.3813 0.8004
H19 0.7607 0.2730 0.3188
H20 0.7767 0.9516 0.2993
H21 0.8265 0.7241 0.8989
H22 0.8492 0.1816 0.6243
H23 0.8587 0.5282 0.2147
H24 0.8590 0.7828 0.1517
O1 0.1050 0.6568 0.6026
O2 0.1232 0.1737 0.9010
O3 0.1402 0.3472 0.6178
O4 0.1487 0.8437 0.8971
O5 0.1895 0.9599 0.6224
O6 0.2117 0.4877 0.8929
O7 0.2507 0.4612 0.3889
O8 0.2691 0.8467 0.3850
O9 0.3107 0.9995 0.1155
O10 0.3305 0.1448 0.4257
O11 0.3449 0.3702 0.1188
O12 0.3803 0.6738 0.1213
O13 0.6379 0.6897 0.8982
O14 0.6487 0.4687 0.6169
O15 0.6601 0.0050 0.9016
O16 0.6689 0.8285 0.6061
O17 0.6715 0.1393 0.6446
O18 0.6981 0.3644 0.9025
O19 0.7437 0.3296 0.4078
O20 0.7894 0.8782 0.1238
O21 0.7920 0.9708 0.4037
O22 0.8318 0.6437 0.3847
O23 0.8628 0.5118 0.1114
O24 0.8935 0.1874 0.1219

=====

Record 5
DFT (PBE) results for an optimized crystal structure of AlH3O3.

Cell: 5.0691 8.8479 9.7142 Å, 86.98 89.28 89.96°
Space group P1 (No. 1)
Inequivalent atoms, fractional coordinates:
Al1 0.0000 0.0000 0.0000
Al2 0.9996 0.0134 0.5076
Al3 0.0329 0.6651 0.0127
Al4 0.0412 0.6807 0.5134
Al5 0.4982 0.1673 0.0083
Al6 0.5032 0.1875 0.5122
Al7 0.5368 0.5112 0.5152
Al8 0.5387 0.5031 0.0192
H1 0.0782 0.2576 0.6128
H2 0.1445 0.8481 0.7148
H3 0.1600 0.4227 0.8966
H4 0.1841 0.3460 0.1278
H5 0.1940 0.1613 0.8015
H6 0.2318 0.5392 0.7190
H7 0.2546 0.1236 0.3203
H8 0.3169 0.9839 0.2033
H9 0.3375 0.6511 0.2178
H10 0.3479 0.8522 0.9015
H11 0.4119 0.3621 0.3069
H12 0.4646 0.7652 0.3938
H13 0.5337 0.9423 0.6149
H14 0.6140 0.7400 0.6321
H15 0.6408 0.3353 0.7206
H16 0.6838 0.8083 0.1068
H17 0.6953 0.0334 0.7974
H18 0.7333 0.6410 0.8094
H19 0.7477 0.0471 0.1888
H20 0.8201 0.1848 0.3078
H21 0.8409 0.5223 0.2238
H22 0.8478 0.3162 0.9108
H23 0.9046 0.8377 0.3071
H24 0.9548 0.4344 0.4123
O1 0.1555 0.8419 0.8963
O2 0.1651 0.8521 0.6124
O3 0.1755 0.1616 0.6195
O4 0.1799 0.1702 0.9034
O5 0.2221 0.5323 0.6181
O6 0.2302 0.5246 0.9037
O7 0.3087 0.0116 0.1052
O8 0.3119 0.0513 0.3932
O9 0.3464 0.6504 0.1159
O10 0.3617 0.6717 0.4020
O11 0.3756 0.3308 0.1226
O12 0.3891 0.3606 0.4079
O13 0.6506 0.3369 0.6192
O14 0.6582 0.3366 0.9111
O15 0.6676 0.0228 0.6155
O16 0.6881 0.0268 0.8995
O17 0.7245 0.6495 0.9102
O18 0.7247 0.6509 0.6258
O19 0.8039 0.1285 0.1234
O20 0.8191 0.1701 0.4081
O21 0.8504 0.5081 0.1232
O22 0.8601 0.5311 0.4078
O23 0.8741 0.8262 0.1155
O24 0.8867 0.8443 0.4080

=====

Record 6
DFT (PBE) results for an optimized crystal structure of AlH3O3.

Cell: 5.2356 9.4594 8.6794 Å, 90.00 92.24 90.00°
Space group P2_1 (No. 4)
Inequivalent atoms, fractional coordinates:
Al1 0.0056 0.0000 0.4001
Al2 0.0233 0.0152 0.0561
Al3 0.4853 0.5239 0.4635
Al4 0.4908 0.5188 0.1055
H1 0.1353 0.7008 0.1505
H2 0.1368 0.4036 0.2602
H3 0.1826 0.7239 0.4839
H4 0.2070 0.6881 0.7512
H5 0.2109 0.1133 0.7026
H6 0.2183 0.8080 0.9355
H7 0.3084 0.2254 0.0203
H8 0.3119 0.8711 0.2509
H9 0.3206 0.3044 0.5807
H10 0.3447 0.3914 0.8560
H11 0.3603 0.2928 0.3216
H12 0.3882 0.1147 0.2748
O1 0.0855 0.6134 0.7683
O2 0.1354 0.8936 0.2195
O3 0.1621 0.6212 0.4589
O4 0.1826 0.6212 0.0842
O5 0.2039 0.9072 0.9036
O6 0.2301 0.9163 0.5255
O7 0.2915 0.4031 0.9624
O8 0.3051 0.4055 0.6006
O9 0.3244 0.3979 0.2765
O10 0.3270 0.1225 0.0400
O11 0.3817 0.1521 0.3804
O12 0.3974 0.1217 0.7164

=====

Record 7
DFT (PBE) results for an optimized crystal structure of AlH3O3.

Cell: 5.1240 8.7563 9.3516 Å, 95.46 91.28 90.53°
Space group P1 (No. 1)
Inequivalent atoms, fractional coordinates:
Al1 0.0000 0.0000 0.0000
Al2 0.0047 0.7987 0.5177
Al3 0.4706 0.3014 0.5202
Al4 0.4864 0.5004 0.0299
Al5 0.5258 0.9673 0.5174
Al6 0.5457 0.8328 0.9963
Al7 0.9328 0.3358 0.0330
Al8 0.9621 0.4676 0.5248
H1 0.1224 0.0407 0.3986
H2 0.1399 0.2790 0.3155
H3 0.1529 0.5222 0.2269
H4 0.1568 0.7442 0.1303
H5 0.1685 0.6699 0.8978
H6 0.1901 0.1114 0.6465
H7 0.2164 0.8908 0.2453
H8 0.2543 0.3756 0.7937
H9 0.3013 0.9378 0.8050
H10 0.3203 0.6058 0.4194
H11 0.3247 0.2006 0.1265
H12 0.3316 0.2329 0.8820
H13 0.3559 0.5379 0.6980
H14 0.4321 0.7496 0.6604
H15 0.6524 0.4137 0.3052
H16 0.6574 0.7608 0.3112
H17 0.6778 0.0190 0.2174
H18 0.6801 0.1344 0.8685
H19 0.7596 0.4268 0.8087
H20 0.7930 0.1643 0.3865
H21 0.8246 0.6520 0.1310
H22 0.8260 0.9323 0.7280
H23 0.8473 0.2429 0.6773
H24 0.8577 0.6828 0.7353
O1 0.1300 0.6154 0.4108
O2 0.1342 0.1820 0.1225
O3 0.1397 0.2960 0.4210
O4 0.1522 0.5074 0.1211
O5 0.1997 0.9392 0.4006
O6 0.2102 0.8527 0.1347
O7 0.2762 0.3404 0.8954
O8 0.2772 0.4465 0.6448
O9 0.3252 0.9783 0.9067
O10 0.3298 0.8329 0.6265
O11 0.3578 0.6552 0.9045
O12 0.3731 0.1365 0.6309
O13 0.6160 0.1310 0.4057
O14 0.6404 0.6800 0.1279
O15 0.6440 0.3630 0.1383
O16 0.6474 0.4439 0.4155
O17 0.6997 0.8145 0.4063
O18 0.7080 0.9885 0.1160
O19 0.7777 0.3351 0.6401
O20 0.7801 0.4700 0.9099
O21 0.8328 0.8427 0.8885
O22 0.8425 0.9649 0.6276
O23 0.8591 0.1610 0.8996
O24 0.8651 0.6507 0.6312

=====

Record 8
DFT (PBE) results for an optimized crystal structure of AlH3O3.

Cell: 4.8360 5.1012 5.1330 Å, 119.02 98.38 92.55°
Space group P1 (No. 1)
Inequivalent atoms, fractional coordinates:
Al1 0.0000 0.0000 0.0000
Al2 0.0013 0.6684 0.3412
H1 0.1959 0.1841 0.5279
H2 0.3988 0.4019 0.0718
H3 0.4011 0.7093 0.7819
H4 0.5948 0.9465 0.5636
H5 0.6263 0.2475 0.3155
H6 0.8124 0.4849 0.8214
O1 0.2012 0.3706 0.0835
O2 0.2093 0.7399 0.7199
O3 0.2276 0.0011 0.3500
O4 0.7754 0.6704 0.9927
O5 0.7865 0.2945 0.2427
O6 0.7927 0.9290 0.6197

=====

Record 9
DFT (PBE) results for an optimized crystal structure of AlH3O3.

piezoelectric modulus e_max: 0.12 C/m²

Cell: 5.0780 5.1357 7.2506 Å, 90.00 90.00 90.00°
Space group P2_12_12_1 (No. 19)
Inequivalent atoms, fractional coordinates:
Al1 0.2478 0.0000 0.9997
H1 0.0296 0.2049 0.2530
H2 0.0819 0.3328 0.7951
H3 0.2161 0.4610 0.5207
O1 0.0739 0.3200 0.9330
O2 0.0876 0.3237 0.5604
O3 0.1293 0.0380 0.2501

=====

Record 10
DFT (PBE) results for an optimized crystal structure of AlH3O3.

Cell: 5.0192 7.0484 5.0339 Å, 90.00 90.00 90.00°
Space group Pnma (No. 62)
Inequivalent atoms, fractional coordinates:
Al1 0.0000 0.0000 0.0000
H1 0.0000 0.0000 0.5000
H2 0.1514 0.2500 0.3527
H3 0.2366 0.2500 0.7938
O1 0.0574 0.2500 0.8762
O2 0.1617 0.0734 0.3486

=====

no.,DFT formation energy (eV/atom)
1,-2.022
2,-2.040
3,-2.023
4,-2.004
5,-2.030
6,-1.977
7,-1.993
8,-2.020
9,-2.037
10,-1.980